# 1
The following is a DFT calculation (PBE-GGA) of crystalline Na2MgTi3Si2S4O24 at its relaxed geometry.

Unit cell a=8.6961 b=8.6789 c=22.5378 alpha=89.31 beta=90.10 gamma=119.95
Atoms (fractional coordinates):
Si1 0.6201 0.9619 0.4140
O1 0.1521 0.6936 0.4695
S1 0.0007 0.2920 0.2497
Na1 0.3347 0.6649 0.1654
O2 0.7992 0.8257 0.9108
O3 0.0219 0.1856 0.9097
Ti1 0.3591 0.6767 0.5217
O4 0.3720 0.5238 0.0771
O5 0.1731 0.1928 0.4106
S2 0.6205 0.6673 0.9167
O6 0.9764 0.1761 0.3047
O7 0.6571 0.1606 0.4286
O8 0.1313 0.6350 0.0810
Na2 0.6635 0.3206 0.3346
O9 0.8221 0.9794 0.4059
Ti2 0.6541 0.3344 0.1832
O10 0.0265 0.8308 0.4087
O11 0.8375 0.5278 0.7439
O12 0.5396 0.6939 0.9706
Mg1 0.0081 0.0075 0.1449
O13 0.7966 0.8169 0.1962
Ti3 0.3178 0.6509 0.0185
O14 0.2079 0.0350 0.5886
O15 0.1560 0.6823 0.7557
Ti4 0.9969 0.0180 0.8563
O16 0.6409 0.4945 0.6414
Si2 0.0421 0.3834 0.9159
O17 0.3593 0.4809 0.3627
O18 0.2071 0.1789 0.8035
O19 0.8672 0.5051 0.1386
O20 0.4997 0.8738 0.0809
O21 0.5331 0.8328 0.4747
Na3 0.0162 0.0112 0.0018
S3 0.0455 0.6681 0.4161
O22 0.9841 0.1858 0.5869
O23 0.3046 0.8292 0.9765
O24 0.1416 0.5026 0.8581
O25 0.8356 0.3042 0.2470
Na4 0.6712 0.3261 0.8344
O26 0.8501 0.3656 0.9263
Mg2 0.3381 0.6752 0.3152
O27 0.1860 0.9829 0.1963
O28 0.8223 0.7967 0.3035
Ti5 0.9881 0.9993 0.3546
S4 0.9584 0.3391 0.5832
O29 0.8460 0.3115 0.5290
O30 0.3657 0.8672 0.8595
Ti6 0.6637 0.3347 0.6904
O31 0.4868 0.3194 0.0253
O32 0.6851 0.1756 0.7413
O33 0.5005 0.1471 0.9248
Si3 0.3218 0.9494 0.9181
Mg3 0.9836 0.9883 0.6456
O34 0.1572 0.4677 0.2583
Ti7 0.6728 0.3377 0.4814
Si4 0.6747 0.6243 0.5834
O35 0.3563 0.8624 0.5765
Na5 0.3474 0.6736 0.6706
O36 0.0314 0.8157 0.6953
O37 0.3096 0.8421 0.2544
O38 0.4848 0.6308 0.5753
S5 0.3326 0.3754 0.4163
S6 0.9516 0.6190 0.0833
O39 0.1859 0.2076 0.6955
O40 0.4691 0.3056 0.7452
O41 0.6454 0.1390 0.1375
O42 0.8340 0.0284 0.8078
O43 0.4690 0.1506 0.5289
O44 0.3012 0.4552 0.4698
O45 0.8498 0.5337 0.0302
O46 0.4731 0.1645 0.2439
Si5 0.3718 0.3352 0.0799
S7 0.2870 0.2895 0.7489
O47 0.1173 0.6349 0.3626
Si6 0.7088 0.9961 0.7477
O48 0.3123 0.4691 0.7557
O49 0.8707 0.3591 0.6363
S8 0.3799 0.0455 0.5834
O50 0.8204 0.0249 0.0911
O51 0.8458 0.8143 0.5821
S9 0.2886 0.9991 0.2491
O52 0.5092 0.8243 0.7605
O53 0.1676 0.4655 0.9757
O54 0.0227 0.2086 0.1975
O55 0.5074 0.8813 0.3569
Ti8 0.6508 0.3181 0.9754
O56 0.1834 0.1617 0.0851
O57 0.1475 0.9657 0.9073
O58 0.6419 0.5085 0.9227
O59 0.2081 0.0271 0.3036
O60 0.7033 0.5311 0.2457
O61 0.4906 0.1209 0.6369
O62 0.6795 0.5110 0.5255
S10 0.6652 0.0458 0.0839
O63 0.5023 0.3612 0.1405
O64 0.5318 0.6808 0.2556
O65 0.7860 0.9614 0.6898
S11 0.7119 0.7099 0.2487
O66 0.1302 0.5063 0.5750
S12 0.0003 0.7114 0.7495
O67 0.6936 0.1550 0.0295
Ti9 0.3337 0.6839 0.8155
O68 0.5125 0.6387 0.8632
O69 0.9660 0.7924 0.0907
Na6 0.9920 0.9917 0.5059
O70 0.8610 0.5127 0.4238
O71 0.9738 0.7897 0.8029
O72 0.4903 0.3521 0.4241

Values from the calculation:
- Energy: -6.99 eV per atom
- E_form: -2614 meV/atom
- E (MP2020): -7.449 eV/atom

=====

# 2
The following is a DFT calculation (PBE-GGA) of crystalline Na4Mg3TiSiS5O24 at its relaxed geometry.

Unit cell a=8.8065 b=8.8284 c=22.3916 alpha=90.34 beta=89.87 gamma=120.21
Atoms (fractional coordinates):
O1 0.1878 0.9758 0.1952
O2 0.4703 0.1548 0.5296
O3 0.4884 0.6432 0.5767
O4 0.1755 0.4500 0.9736
Mg1 0.3231 0.6611 0.0195
O5 0.5491 0.8623 0.4702
O6 0.1788 0.1895 0.4109
O7 0.6357 0.5019 0.9226
Na1 0.9843 0.6784 0.9197
O8 0.1680 0.6925 0.7553
O9 0.1650 0.9848 0.9081
Ti1 0.6686 0.3228 0.9818
O10 0.1358 0.5110 0.8609
Mg2 0.9845 0.9929 0.6482
O11 0.7857 0.8088 0.1957
Na2 0.9718 0.9871 0.4978
O12 0.6467 0.1288 0.1355
O13 0.8425 0.3040 0.5284
S1 0.2923 0.9986 0.2495
O14 0.8583 0.4987 0.4233
O15 0.1637 0.4708 0.2564
S2 0.9544 0.3324 0.5826
O16 0.4785 0.3494 0.1384
Mg3 0.9989 0.9958 0.1494
O17 0.8645 0.5184 0.1358
O18 0.1376 0.6859 0.4741
O19 0.8497 0.8151 0.5848
O20 0.3625 0.4735 0.3625
O21 0.4862 0.1153 0.6372
Mg4 0.3486 0.6754 0.5156
O22 0.4733 0.3163 0.7472
O23 0.3663 0.4957 0.0793
O24 0.5100 0.1570 0.9262
O25 0.6861 0.1483 0.0269
Na3 0.6644 0.3274 0.8253
O26 0.7867 0.9754 0.6987
O27 0.9681 0.7986 0.0855
O28 0.7992 0.8137 0.9070
O29 0.9775 0.1885 0.3039
O30 0.5236 0.8870 0.3628
O31 0.9813 0.7871 0.8050
O32 0.2087 0.0405 0.5879
O33 0.6886 0.5187 0.5258
O34 0.9851 0.1824 0.5865
Mg5 0.9942 0.9970 0.3503
Na4 0.0281 0.6986 0.5832
O35 0.3185 0.4804 0.7561
O36 0.3139 0.8440 0.2557
O37 0.3417 0.8620 0.5742
S3 0.6675 0.0390 0.0842
S4 0.7048 0.7055 0.2498
Na5 0.3289 0.6775 0.1670
O38 0.8507 0.3694 0.9269
S5 0.6993 0.9966 0.7513
O39 0.3770 0.8712 0.8596
Mg6 0.6611 0.3342 0.6845
O40 0.2098 0.0281 0.3028
O41 0.2107 0.1980 0.8044
O42 0.8092 0.7871 0.3035
S6 0.0392 0.6663 0.4184
O43 0.3109 0.4515 0.4707
O44 0.4701 0.1622 0.2443
O45 0.0116 0.8169 0.4124
Na6 0.3614 0.3616 0.2506
O46 0.5224 0.6796 0.2552
O47 0.5119 0.8645 0.0775
Mg7 0.3361 0.6778 0.3167
Na7 0.3655 0.6788 0.6650
O48 0.1311 0.6419 0.0804
O49 0.4712 0.3171 0.0292
Mg8 0.6733 0.3339 0.1855
Ti2 0.6699 0.3468 0.4814
Na8 0.6795 0.3259 0.3317
Ti3 0.3200 0.6724 0.8174
Si1 0.0424 0.3728 0.9196
Na9 0.3129 0.2916 0.9187
O50 0.2019 0.1748 0.0851
S7 0.3773 0.3354 0.0845
O51 0.8511 0.5340 0.0275
O52 0.6291 0.4997 0.6397
Na10 0.3142 0.3432 0.5874
O53 0.6792 0.5235 0.2445
O54 0.4954 0.3489 0.4239
Mg9 0.0038 0.0063 0.8487
O55 0.2995 0.8356 0.9748
O56 0.5052 0.6292 0.8637
O57 0.8449 0.3149 0.2440
Si2 0.6639 0.6328 0.5865
S8 0.3800 0.0431 0.5832
O58 0.6498 0.1462 0.4235
S9 0.6306 0.9668 0.4165
S10 0.9562 0.6248 0.0842
O59 0.0235 0.8076 0.6963
O60 0.5211 0.8320 0.7554
S11 0.0003 0.7036 0.7504
O61 0.8494 0.5240 0.7461
O62 0.0295 0.2116 0.1965
O63 0.8088 0.9888 0.4107
O64 0.6772 0.1517 0.7463
O65 0.1234 0.6402 0.3660
S12 0.3322 0.3675 0.4167
O66 0.1277 0.4962 0.5749
O67 0.8727 0.3548 0.6364
O68 0.9951 0.1747 0.9069
S13 0.0004 0.2934 0.2504
O69 0.8307 0.0313 0.0856
Si3 0.3298 0.9578 0.9199
Na11 0.0147 0.0119 0.0022
S14 0.6212 0.6641 0.9169
O70 0.1935 0.2178 0.6955
S15 0.2980 0.3004 0.7503
O71 0.5497 0.7001 0.9708
O72 0.7978 0.0158 0.8071
Na12 0.6989 0.0272 0.9121

Values from the calculation:
- Energy: -6.29 eV per atom
- E_form: -2440 meV/atom
- E (MP2020): -6.725 eV/atom

=====

# 3
The following is a DFT calculation (PBE-GGA) of crystalline Na10Mg3Ti5Si6S6O48 at its relaxed geometry.

Unit cell a=17.7914 b=8.8925 c=22.2521 alpha=89.91 beta=89.59 gamma=119.78
Atoms (fractional coordinates):
O1 0.2451 0.1328 0.9194
Ti1 0.0021 0.9899 0.3552
O2 0.8449 0.5393 0.5281
O3 0.5680 0.6579 0.0762
O4 0.7605 0.6432 0.8628
Si1 0.8524 0.9953 0.7500
O5 0.3183 0.4898 0.9217
O6 0.5783 0.4967 0.5814
Na1 0.9985 0.6364 0.2509
Ti2 0.6790 0.6758 0.3170
O7 0.7429 0.3639 0.1458
O8 0.7751 0.6950 0.9721
O9 0.0651 0.6262 0.3561
Na2 0.8173 0.6257 0.7502
Na3 0.6615 0.6678 0.6612
O10 0.7472 0.8696 0.3599
O11 0.3963 0.9677 0.6958
O12 0.4127 0.8129 0.3082
Ti3 0.8262 0.3225 0.9809
Ti4 0.0014 0.0017 0.6542
O13 0.9176 0.8007 0.5859
O14 0.8214 0.5064 0.9231
O15 0.2579 0.8789 0.3625
O16 0.7593 0.6475 0.5802
O17 0.2480 0.6349 0.8587
Mg1 0.6634 0.6591 0.5180
O18 0.9174 0.3478 0.9259
O19 0.5742 0.6925 0.4701
Na4 0.1633 0.6630 0.6616
O20 0.0975 0.0278 0.3083
O21 0.0943 0.7065 0.7573
O22 0.4165 0.5218 0.7484
O23 0.2310 0.1502 0.5285
O24 0.0995 0.0276 0.5858
O25 0.9271 0.4956 0.4252
O26 0.0654 0.4868 0.5795
O27 0.1845 0.4970 0.3563
O28 0.0122 0.2003 0.1969
O29 0.9008 0.9560 0.6925
O30 0.4848 0.8132 0.8069
Na5 0.6621 0.6655 0.1615
Mg2 0.4980 0.9983 0.3523
Si2 0.3587 0.7098 0.2523
Si3 0.6440 0.2865 0.7511
Ti5 0.4984 0.0018 0.1453
O31 0.0077 0.1733 0.9091
S1 0.1658 0.9542 0.9170
O32 0.2360 0.1237 0.6386
Na6 0.6490 0.3446 0.5769
O33 0.9428 0.5257 0.1401
S2 0.1869 0.0399 0.5840
Na7 0.3243 0.6842 0.0799
O34 0.1796 0.8687 0.5785
Mg3 0.3320 0.3413 0.1859
Si4 0.8127 0.9570 0.4198
O35 0.5935 0.1561 0.8057
Ti6 0.3319 0.3437 0.9762
O36 0.0841 0.1819 0.4060
Si5 0.1705 0.3749 0.4185
O37 0.4154 0.3134 0.5284
Ti7 0.0078 0.9957 0.1473
Ti8 0.8342 0.3386 0.4726
O38 0.1543 0.4845 0.7550
O39 0.2574 0.8720 0.0802
O40 0.9231 0.3120 0.2428
O41 0.8463 0.1566 0.0284
O42 0.4889 0.1893 0.3039
O43 0.0874 0.7233 0.4735
Si6 0.5184 0.3700 0.9184
O44 0.2587 0.6968 0.2559
O45 0.0223 0.8465 0.6933
O46 0.0674 0.6559 0.0755
Si7 0.8556 0.7133 0.2491
Si8 0.1464 0.2910 0.7503
O47 0.7593 0.8196 0.7592
O48 0.5815 0.2050 0.6901
O49 0.9359 0.3472 0.6377
O50 0.9117 0.0230 0.0850
Na8 0.6876 0.0098 0.7509
S3 0.9984 0.2854 0.2496
O51 0.4409 0.5190 0.1377
Ti9 0.6552 0.6510 0.8097
O52 0.2442 0.1589 0.2486
Si9 0.0266 0.6695 0.4172
O53 0.0808 0.9662 0.1948
O54 0.6513 0.4493 0.4799
O55 0.5788 0.4542 0.9737
O56 0.5894 0.9777 0.1972
O57 0.7328 0.1459 0.2431
O58 0.6512 0.4789 0.7570
S4 0.6891 0.0422 0.5834
Na9 0.5025 0.0177 0.9968
S5 0.6682 0.9563 0.9173
O59 0.5895 0.7062 0.7562
O60 0.1771 0.8733 0.8609
O61 0.9202 0.5263 0.7455
O62 0.7559 0.6884 0.2565
S6 0.3339 0.0467 0.0850
O63 0.1492 0.8135 0.2567
O64 0.0866 0.1509 0.0911
Si10 0.0037 0.7147 0.7524
O65 0.6834 0.5011 0.3597
O66 0.5887 0.1530 0.0926
O67 0.9187 0.0334 0.8063
O68 0.0808 0.4507 0.9722
O69 0.3428 0.5323 0.5308
Na10 0.3172 0.0001 0.2476
O70 0.2543 0.3437 0.4253
S7 0.8370 0.6290 0.5837
S8 0.9788 0.3316 0.5832
O71 0.7562 0.8719 0.0757
O72 0.7704 0.8308 0.4749
Si11 0.0127 0.3624 0.9205
O73 0.9155 0.8138 0.3075
O74 0.6773 0.8683 0.5769
O75 0.9017 0.8198 0.9107
Ti10 0.5026 0.9978 0.8577
O76 0.4322 0.5041 0.4236
Si12 0.3140 0.6761 0.9184
Si13 0.6847 0.3347 0.0873
O77 0.6807 0.8806 0.8611
O78 0.1765 0.5050 0.0808
S9 0.8335 0.0445 0.0830
O79 0.6586 0.8532 0.9707
S10 0.6440 0.9935 0.2501
O80 0.1554 0.8505 0.9703
O81 0.7472 0.1346 0.9216
O82 0.0591 0.4828 0.8562
O83 0.6481 0.8305 0.2539
Na11 0.0025 0.0129 0.9989
O84 0.8254 0.5210 0.6371
S11 0.5016 0.2933 0.2499
O85 0.4100 0.0290 0.8034
Na12 0.3411 0.3469 0.8342
O86 0.2783 0.7083 0.9794
Na13 0.4951 0.3708 0.7430
Na14 0.3400 0.3621 0.3291
O87 0.4044 0.8406 0.1908
Mg4 0.6601 0.6481 0.0181
S12 0.9795 0.6229 0.0833
O88 0.3174 0.1326 0.4223
O89 0.8998 0.8291 0.1882
S13 0.8132 0.6674 0.9175
O90 0.1001 0.1703 0.8096
Na15 0.9947 0.3657 0.7488
S14 0.5209 0.6625 0.4168
O91 0.3413 0.5162 0.2466
O92 0.0895 0.9810 0.9122
Si14 0.4813 0.3349 0.5878
Na16 0.3167 0.6216 0.7525
O93 0.8460 0.5207 0.2499
Na17 0.1654 0.0297 0.4195
Ti11 0.5053 0.0137 0.6476
Na18 0.1938 0.3697 0.2442
O94 0.9866 0.1886 0.3059
O95 0.3429 0.1490 0.7443
O96 0.2359 0.3072 0.0242
S15 0.3555 0.9973 0.7504
Mg5 0.8362 0.3366 0.6883
O97 0.3477 0.1558 0.0315
Na19 0.6884 0.3684 0.2438
O98 0.9869 0.8121 0.8084
O99 0.0792 0.4613 0.2524
O100 0.5613 0.6341 0.3622
O101 0.4204 0.3484 0.9259
O102 0.8440 0.1657 0.7444
S16 0.4792 0.6241 0.0840
Na20 0.8269 0.6882 0.0865
Si15 0.6591 0.3650 0.4197
O103 0.5107 0.8168 0.4099
O104 0.3280 0.1260 0.1411
Si16 0.1850 0.3327 0.0854
Na21 0.8358 0.3351 0.8313
O105 0.9262 0.3150 0.5281
Mg6 0.1626 0.6590 0.5168
O106 0.5149 0.8439 0.6916
O107 0.5907 0.9789 0.9130
Si17 0.1484 0.9960 0.2521
O108 0.7390 0.3069 0.0282
Ti12 0.3386 0.3395 0.4842
O109 0.5190 0.2102 0.1959
Na22 0.9940 0.3060 0.4200
Na23 0.1661 0.6606 0.1599
O110 0.4353 0.3487 0.6473
O111 0.9802 0.7958 0.0863
Na24 0.1836 0.0058 0.7497
O112 0.5858 0.1680 0.4092
O113 0.2566 0.6502 0.5757
Ti13 0.9974 0.0070 0.8488
O114 0.4009 0.9850 0.4109
O115 0.4116 0.8350 0.9062
O116 0.4236 0.3062 0.2405
O117 0.6017 0.0341 0.5864
O118 0.2398 0.3063 0.7443
Si18 0.4982 0.7151 0.7504
O119 0.4233 0.5433 0.0300
O120 0.1440 0.4542 0.4727
O121 0.0056 0.8303 0.4088
O122 0.4882 0.1508 0.5882
S17 0.3322 0.6278 0.5840
O123 0.4819 0.7984 0.0893
O124 0.7383 0.1237 0.6379
Mg7 0.1653 0.6500 0.0165
O125 0.8246 0.1272 0.1372
Na25 0.0019 0.0049 0.5026
O126 0.4136 0.7977 0.5861
Mg8 0.8308 0.3329 0.1833
O127 0.5071 0.1788 0.9036
Na26 0.4917 0.0010 0.4968
Ti14 0.1724 0.6613 0.3148
Na27 0.6623 0.0258 0.4155
O128 0.2687 0.8390 0.7554
O129 0.2425 0.3578 0.1433
O130 0.2722 0.8532 0.4711
O131 0.5809 0.4679 0.2542
O132 0.4144 0.0230 0.0879
Na28 0.1627 0.3111 0.9218
O133 0.7389 0.3113 0.7438
O134 0.7312 0.1539 0.5288
O135 0.0784 0.1995 0.6936
O136 0.6811 0.5111 0.0792
S18 0.3132 0.9580 0.4185
O137 0.9102 0.9918 0.4067
Mg9 0.3356 0.3427 0.6840
O138 0.7543 0.3587 0.4254
O139 0.9852 0.1695 0.5854
O140 0.9212 0.5333 0.0318
Na29 0.8325 0.3301 0.3286
Na30 0.8448 0.6718 0.4188
O141 0.3187 0.5265 0.6395
O142 0.5658 0.4975 0.8562
O143 0.6087 0.0273 0.3054
Ti15 0.1558 0.6382 0.8181
O144 0.8211 0.1516 0.4250

Values from the calculation:
- Energy: -6.76 eV per atom
- E_form: -2664 meV/atom
- E (MP2020): -7.182 eV/atom